Entry 1:
First-principles (PBE-GGA) data for a relaxed Nd4FeSn8 crystal, as listed in the Materials Project.

a b c (Å): 4.505 4.571 16.960
angles (deg): 90.00 90.00 90.00
Positions (direct):
1 Nd 0.000 0.000 0.098
2 Nd 0.000 0.500 0.602
3 Nd 0.500 0.500 0.396
4 Nd 0.500 0.000 0.900
5 Fe 0.000 0.000 0.306
6 Sn 0.000 0.000 0.454
7 Sn 0.000 0.500 0.938
8 Sn 0.500 0.500 0.060
9 Sn 0.500 0.000 0.570
10 Sn 0.000 0.500 0.239
11 Sn 0.000 0.000 0.749
12 Sn 0.500 0.000 0.239
13 Sn 0.500 0.500 0.752

***

Entry 2:
First-principles (PBE-GGA) data for a relaxed TbNdFe4 crystal, as listed in the Materials Project.

a b c (Å): 5.221 5.221 5.221
angles (deg): 60.00 60.00 60.00
Positions (direct):
1 Tb 0.000 0.000 0.000
2 Nd 0.250 0.250 0.250
3 Fe 0.625 0.625 0.125
4 Fe 0.625 0.125 0.625
5 Fe 0.125 0.625 0.625
6 Fe 0.625 0.625 0.625

***

Entry 3:
First-principles (PBE-GGA) data for a relaxed TbNdFe17 crystal, as listed in the Materials Project.

a b c (Å): 6.377 6.377 6.377
angles (deg): 82.56 82.56 82.56
Positions (direct):
1 Tb 0.343 0.343 0.343
2 Nd 0.656 0.656 0.656
3 Fe 0.339 0.339 0.847
4 Fe 0.339 0.847 0.339
5 Fe 0.847 0.339 0.339
6 Fe 0.660 0.660 0.153
7 Fe 0.660 0.153 0.660
8 Fe 0.153 0.660 0.660
9 Fe 0.710 0.001 0.289
10 Fe 0.001 0.289 0.710
11 Fe 0.289 0.710 0.001
12 Fe 0.001 0.710 0.289
13 Fe 0.710 0.289 0.001
14 Fe 0.289 0.001 0.710
15 Fe 0.001 0.499 0.001
16 Fe 0.499 0.001 0.001
17 Fe 0.001 0.001 0.499
18 Fe 0.911 0.911 0.911
19 Fe 0.090 0.090 0.090

***

Entry 4:
First-principles (PBE-GGA) data for a relaxed Nd2TiFe16 crystal, as listed in the Materials Project.

a b c (Å): 6.476 6.476 6.476
angles (deg): 82.92 82.92 82.92
Positions (direct):
1 Nd 0.342 0.342 0.342
2 Nd 0.653 0.653 0.653
3 Ti 0.907 0.907 0.907
4 Fe 0.158 0.659 0.659
5 Fe 0.659 0.659 0.158
6 Fe 0.659 0.158 0.659
7 Fe 0.845 0.340 0.340
8 Fe 0.340 0.340 0.845
9 Fe 0.340 0.845 0.340
10 Fe 0.707 0.293 0.001
11 Fe 0.293 0.001 0.707
12 Fe 0.001 0.707 0.293
13 Fe 0.707 0.001 0.293
14 Fe 0.001 0.293 0.707
15 Fe 0.293 0.707 0.001
16 Fe 0.001 0.001 0.497
17 Fe 0.001 0.497 0.001
18 Fe 0.497 0.001 0.001
19 Fe 0.098 0.098 0.098

***

Entry 5:
First-principles (PBE-GGA) data for a relaxed Nd6TlFe13 crystal, as listed in the Materials Project.

a b c (Å): 8.075 8.075 13.044
angles (deg): 108.03 108.03 90.00
Positions (direct):
1 Nd 0.605 0.605 0.210
2 Nd 0.105 0.105 0.210
3 Nd 0.395 0.395 0.790
4 Nd 0.895 0.895 0.790
5 Nd 0.978 0.478 0.630
6 Nd 0.652 0.152 0.630
7 Nd 0.152 0.978 0.630
8 Nd 0.478 0.652 0.630
9 Nd 0.022 0.522 0.370
10 Nd 0.348 0.848 0.370
11 Nd 0.848 0.022 0.370
12 Nd 0.522 0.348 0.370
13 Tl 0.250 0.250 0.500
14 Tl 0.750 0.750 0.500
15 Fe 0.000 0.500 0.000
16 Fe 0.500 0.000 0.000
17 Fe 0.710 0.566 0.000
18 Fe 0.290 0.434 0.000
19 Fe 0.790 0.066 0.000
20 Fe 0.210 0.934 0.000
21 Fe 0.566 0.290 0.000
22 Fe 0.434 0.710 0.000
23 Fe 0.066 0.210 0.000
24 Fe 0.934 0.790 0.000
25 Fe 0.120 0.620 0.883
26 Fe 0.762 0.262 0.883
27 Fe 0.262 0.120 0.883
28 Fe 0.620 0.762 0.883
29 Fe 0.880 0.380 0.117
30 Fe 0.238 0.738 0.117
31 Fe 0.738 0.880 0.117
32 Fe 0.380 0.238 0.117
33 Fe 0.293 0.793 0.812
34 Fe 0.519 0.019 0.812
35 Fe 0.019 0.293 0.812
36 Fe 0.793 0.519 0.812
37 Fe 0.707 0.207 0.188
38 Fe 0.481 0.981 0.188
39 Fe 0.981 0.707 0.188
40 Fe 0.207 0.481 0.188

***

Entry 6:
First-principles (PBE-GGA) data for a relaxed NdV2Fe10 crystal, as listed in the Materials Project.

a b c (Å): 4.677 6.492 6.492
angles (deg): 97.27 111.12 68.88
Positions (direct):
1 Nd 0.000 0.000 0.000
2 V 0.000 0.360 0.360
3 V 0.000 0.640 0.640
4 Fe 0.729 0.771 0.229
5 Fe 0.271 0.229 0.771
6 Fe 0.500 0.768 0.768
7 Fe 0.500 0.232 0.232
8 Fe 0.500 0.000 0.500
9 Fe 0.000 0.000 0.500
10 Fe 0.500 0.500 0.000
11 Fe 0.000 0.500 0.000
12 Fe 0.640 0.360 0.640
13 Fe 0.360 0.640 0.360

***

Entry 7:
First-principles (PBE-GGA) data for a relaxed Fe2Ni crystal, as listed in the Materials Project.

a b c (Å): 4.616 4.616 4.616
angles (deg): 60.00 60.00 60.00
Positions (direct):
1 Fe 0.625 0.625 0.125
2 Fe 0.625 0.125 0.625
3 Fe 0.125 0.625 0.625
4 Fe 0.625 0.625 0.625
5 Ni 0.250 0.250 0.250
6 Ni 0.000 0.000 0.000

***

Entry 8:
First-principles (PBE-GGA) data for a relaxed Fe3Ni crystal, as listed in the Materials Project.

a b c (Å): 8.417 8.417 8.417
angles (deg): 17.11 17.11 17.11
Positions (direct):
1 Fe 0.250 0.250 0.250
2 Fe 0.500 0.500 0.500
3 Fe 0.750 0.750 0.750
4 Ni 0.000 0.000 0.000

***

no.,formation enthalpy at 0 K (eV/f.u.)
1,-7.2
2,1.4
3,0.7
4,3.8
5,-0.8
6,-0.4
7,0.5
8,0.3